Record 1
The following is a PBE calculation of a relaxed structure of SrH16O10, from Materials Project.

For the energy above the most stable polymorph in this dataset, the calculation gives 0.69 eV/f.u. Its energy relative to the elements is -1.3766 eV/atom.

a = 6.242 Å, b = 6.306 Å, c = 11.431 Å
α = 92.11°, β = 91.72°, γ = 90.56°
Sites, in units of the cell vectors:
Sr 0.000 0.000 0.000
Sr 0.034 0.013 0.487
H 0.009 0.481 0.619
H 0.048 0.453 0.132
H 0.062 0.320 0.779
H 0.080 0.570 0.340
H 0.213 0.755 0.705
H 0.275 0.367 0.868
H 0.278 0.807 0.208
H 0.282 0.399 0.089
H 0.297 0.184 0.278
H 0.310 0.183 0.700
H 0.317 0.624 0.384
H 0.319 0.633 0.597
H 0.370 0.699 0.881
H 0.395 0.726 0.094
H 0.409 0.940 0.853
H 0.426 0.302 0.595
H 0.427 0.288 0.386
H 0.570 0.056 0.139
H 0.580 0.992 0.612
H 0.601 0.956 0.341
H 0.606 0.264 0.875
H 0.617 0.288 0.095
H 0.651 0.724 0.384
H 0.656 0.755 0.599
H 0.703 0.085 0.784
H 0.704 0.611 0.886
H 0.729 0.622 0.095
H 0.757 0.393 0.386
H 0.766 0.408 0.604
H 0.812 0.746 0.211
H 0.834 0.268 0.273
H 0.934 0.604 0.829
O 0.147 0.333 0.121
O 0.162 0.259 0.837
O 0.180 0.700 0.624
O 0.181 0.691 0.352
O 0.293 0.832 0.855
O 0.331 0.858 0.133
O 0.359 0.148 0.355
O 0.360 0.160 0.619
O 0.488 0.488 0.915
O 0.501 0.499 0.045
O 0.537 0.513 0.561
O 0.538 0.510 0.430
O 0.670 0.118 0.866
O 0.688 0.160 0.131
O 0.712 0.904 0.613
O 0.718 0.852 0.347
O 0.841 0.695 0.875
O 0.861 0.690 0.134
O 0.887 0.322 0.351
O 0.914 0.354 0.626



Record 2
The following is a PBE calculation of a relaxed structure of SrH16O10, from Materials Project.

For the energy above the most stable polymorph in this dataset, the calculation gives 0.88 eV/f.u. Its energy relative to the elements is -1.3698 eV/atom.

a = 6.323 Å, b = 6.456 Å, c = 11.405 Å
α = 88.71°, β = 87.53°, γ = 87.80°
Sites, in units of the cell vectors:
Sr 0.000 0.000 0.000
Sr 0.017 0.990 0.520
H 0.011 0.343 0.380
H 0.047 0.597 0.404
H 0.051 0.451 0.636
H 0.149 0.710 0.223
H 0.159 0.314 0.792
H 0.284 0.381 0.905
H 0.286 0.619 0.117
H 0.295 0.388 0.614
H 0.304 0.592 0.411
H 0.305 0.971 0.146
H 0.328 0.130 0.291
H 0.334 0.854 0.726
H 0.402 0.717 0.911
H 0.416 0.722 0.615
H 0.424 0.193 0.411
H 0.426 0.298 0.096
H 0.470 0.951 0.891
H 0.563 0.039 0.634
H 0.581 0.966 0.149
H 0.612 0.259 0.906
H 0.623 0.279 0.619
H 0.647 0.718 0.418
H 0.660 0.727 0.133
H 0.692 0.132 0.792
H 0.722 0.873 0.315
H 0.737 0.602 0.617
H 0.739 0.604 0.913
H 0.741 0.368 0.115
H 0.749 0.387 0.410
H 0.868 0.677 0.728
H 0.881 0.293 0.218
H 0.980 0.542 0.892
O 0.146 0.325 0.880
O 0.153 0.329 0.638
O 0.172 0.676 0.385
O 0.178 0.731 0.138
O 0.291 0.153 0.379
O 0.348 0.858 0.883
O 0.349 0.862 0.639
O 0.388 0.097 0.156
O 0.483 0.449 0.079
O 0.500 0.476 0.949
O 0.527 0.501 0.581
O 0.539 0.503 0.449
O 0.679 0.120 0.881
O 0.680 0.135 0.645
O 0.716 0.863 0.146
O 0.728 0.850 0.400
O 0.870 0.287 0.378
O 0.877 0.663 0.641
O 0.877 0.664 0.886
O 0.883 0.307 0.131



Record 3
The following is a PBE calculation of a relaxed structure of SrH4O3, from Materials Project.

For the energy above the most stable polymorph in this dataset, the calculation gives 0.27 eV/f.u. The value obtained for the piezoelectric modulus e_max is 1.24 C/m². Its energy relative to the elements is -1.7667 eV/atom.

a = 3.803 Å, b = 5.787 Å, c = 7.190 Å
α = 82.98°, β = 89.03°, γ = 82.07°
Sites, in units of the cell vectors:
Sr 0.000 0.000 0.000
Sr 0.012 0.250 0.513
H 0.145 0.472 0.872
H 0.151 0.740 0.415
H 0.448 0.484 0.120
H 0.478 0.565 0.626
H 0.549 0.076 0.276
H 0.576 0.869 0.698
H 0.669 0.545 0.939
H 0.730 0.744 0.409
O 0.385 0.195 0.201
O 0.462 0.560 0.491
O 0.481 0.626 0.030
O 0.524 0.030 0.729
O 0.921 0.846 0.366
O 0.935 0.417 0.825



Record 4
The following is a PBE calculation of a relaxed structure of SrH16O10, from Materials Project.

For the energy above the most stable polymorph in this dataset, the calculation gives 1.60 eV/f.u. Its energy relative to the elements is -1.3431 eV/atom.

a = 5.939 Å, b = 6.551 Å, c = 6.693 Å
α = 86.97°, β = 88.15°, γ = 88.58°
Sites, in units of the cell vectors:
Sr 0.000 0.000 0.000
H 0.252 0.671 0.676
H 0.271 0.690 0.354
H 0.279 0.083 0.314
H 0.284 0.350 0.927
H 0.304 0.351 0.686
H 0.309 0.326 0.345
H 0.409 0.790 0.800
H 0.427 0.810 0.208
H 0.573 0.190 0.792
H 0.591 0.210 0.200
H 0.691 0.674 0.655
H 0.696 0.649 0.314
H 0.716 0.650 0.073
H 0.721 0.917 0.686
H 0.729 0.310 0.646
H 0.748 0.329 0.324
O 0.245 0.766 0.787
O 0.267 0.813 0.257
O 0.277 0.259 0.817
O 0.285 0.218 0.242
O 0.369 0.488 0.501
O 0.631 0.512 0.499
O 0.715 0.782 0.758
O 0.723 0.741 0.183
O 0.733 0.187 0.743
O 0.755 0.234 0.213



Record 5
The following is a PBE calculation of a relaxed structure of SrH16O10, from Materials Project.

For the energy above the most stable polymorph in this dataset, the calculation gives 0.93 eV/f.u. Its energy relative to the elements is -1.3679 eV/atom.

a = 6.202 Å, b = 6.335 Å, c = 11.592 Å
α = 88.90°, β = 85.53°, γ = 89.74°
Sites, in units of the cell vectors:
Sr 0.000 0.000 0.000
Sr 0.052 0.938 0.500
H 0.006 0.488 0.637
H 0.034 0.622 0.824
H 0.108 0.384 0.375
H 0.224 0.210 0.720
H 0.253 0.572 0.077
H 0.264 0.634 0.877
H 0.277 0.155 0.223
H 0.295 0.773 0.702
H 0.320 0.322 0.605
H 0.349 0.326 0.396
H 0.352 0.785 0.287
H 0.376 0.295 0.888
H 0.382 0.256 0.108
H 0.436 0.656 0.598
H 0.448 0.057 0.860
H 0.460 0.663 0.390
H 0.546 0.942 0.130
H 0.568 0.703 0.093
H 0.583 0.975 0.623
H 0.605 0.742 0.886
H 0.624 0.984 0.355
H 0.657 0.212 0.600
H 0.673 0.220 0.392
H 0.709 0.396 0.905
H 0.718 0.874 0.779
H 0.771 0.547 0.603
H 0.805 0.558 0.387
H 0.822 0.195 0.227
H 0.828 0.283 0.799
H 0.915 0.672 0.130
H 0.950 0.385 0.158
H 0.990 0.642 0.286
O 0.069 0.664 0.143
O 0.147 0.722 0.841
O 0.184 0.253 0.642
O 0.209 0.260 0.374
O 0.320 0.153 0.864
O 0.330 0.118 0.143
O 0.367 0.798 0.623
O 0.396 0.806 0.365
O 0.412 0.509 0.056
O 0.459 0.518 0.929
O 0.549 0.443 0.559
O 0.566 0.448 0.430
O 0.655 0.829 0.112
O 0.675 0.880 0.862
O 0.711 0.069 0.626
O 0.745 0.086 0.361
O 0.851 0.330 0.877
O 0.860 0.258 0.149
O 0.905 0.609 0.634
O 0.956 0.617 0.372



Record 6
The following is a PBE calculation of a relaxed structure of SrH4O6, from Materials Project.

For the energy above the most stable polymorph in this dataset, the calculation gives 0.00 eV/f.u. Its energy relative to the elements is -1.3803 eV/atom.

a = 5.270 Å, b = 5.270 Å, c = 9.408 Å
α = 102.35°, β = 102.35°, γ = 68.59°
Sites, in units of the cell vectors:
Sr 0.139 0.861 0.500
Sr 0.861 0.139 0.000
H 0.106 0.293 0.777
H 0.293 0.106 0.277
H 0.312 0.787 0.213
H 0.413 0.842 0.866
H 0.529 0.836 0.034
H 0.787 0.312 0.713
H 0.836 0.529 0.534
H 0.842 0.413 0.366
O 0.183 0.979 0.243
O 0.367 0.411 0.308
O 0.403 0.959 0.962
O 0.411 0.367 0.808
O 0.449 0.477 0.701
O 0.477 0.449 0.201
O 0.599 0.982 0.517
O 0.631 0.830 0.624
O 0.830 0.631 0.124
O 0.959 0.403 0.462
O 0.979 0.183 0.743
O 0.982 0.599 0.017



The lowest energy relative to the elements belongs to which entry?
SrH4O3